# 1
! PBE-GGA Na2B3HO6, optimized geometry; values from VASP
&SYSTEM
  ibrav = 0, nat = 96, ntyp = 4
/
ATOMIC_SPECIES
Na 22.99 Na.upf
B 10.81 B.upf
H 1.01 H.upf
O 16.00 O.upf
ATOMIC_POSITIONS crystal
Na 0.6566 0.4104 0.9305
Na 0.1566 0.5896 0.5695
Na 0.3434 0.5896 0.0695
Na 0.8434 0.4104 0.4305
Na 0.8823 0.9119 0.9421
Na 0.3823 0.0881 0.5579
Na 0.1177 0.0881 0.0579
Na 0.6177 0.9119 0.4421
Na 0.8651 0.5671 0.0670
Na 0.3651 0.4329 0.4330
Na 0.1349 0.4329 0.9330
Na 0.6349 0.5671 0.5670
Na 0.6484 0.0248 0.9636
Na 0.1484 0.9752 0.5364
Na 0.3516 0.9752 0.0364
Na 0.8516 0.0248 0.4636
B 0.9863 0.3130 0.2067
B 0.4863 0.6870 0.2933
B 0.0137 0.6870 0.7933
B 0.5137 0.3130 0.7067
B 0.8199 0.1452 0.1817
B 0.3199 0.8548 0.3183
B 0.1801 0.8548 0.8183
B 0.6801 0.1452 0.6817
B 0.9065 0.2642 0.9567
B 0.4065 0.7358 0.5433
B 0.0935 0.7358 0.0433
B 0.5935 0.2642 0.4567
B 0.9569 0.1834 0.7195
B 0.4569 0.8166 0.7805
B 0.0431 0.8166 0.2805
B 0.5431 0.1834 0.2195
B 0.9074 0.4528 0.7362
B 0.4074 0.5472 0.7638
B 0.0926 0.5472 0.2638
B 0.5926 0.4528 0.2362
B 0.8323 0.7142 0.6512
B 0.3323 0.2858 0.8488
B 0.1677 0.2858 0.3488
B 0.6677 0.7142 0.1512
H 0.7532 0.9351 0.1847
H 0.2532 0.0649 0.3153
H 0.2468 0.0649 0.8153
H 0.7468 0.9351 0.6847
H 0.9715 0.9610 0.6828
H 0.4715 0.0390 0.8172
H 0.0285 0.0390 0.3172
H 0.5285 0.9610 0.1828
O 0.0828 0.2228 0.2716
O 0.5828 0.7772 0.2284
O 0.9172 0.7772 0.7284
O 0.4172 0.2228 0.7716
O 0.9854 0.4670 0.2502
O 0.4854 0.5330 0.2498
O 0.0146 0.5330 0.7498
O 0.5146 0.4670 0.7502
O 0.8825 0.2310 0.2650
O 0.3825 0.7690 0.2350
O 0.1175 0.7690 0.7350
O 0.6175 0.2310 0.7650
O 0.9924 0.3055 0.0544
O 0.4924 0.6945 0.4456
O 0.0076 0.6945 0.9456
O 0.5076 0.3055 0.5544
O 0.7611 0.0222 0.2491
O 0.2611 0.9778 0.2509
O 0.2389 0.9778 0.7509
O 0.7389 0.0222 0.7491
O 0.8170 0.1697 0.0368
O 0.3170 0.8303 0.4632
O 0.1830 0.8303 0.9632
O 0.6830 0.1697 0.5368
O 0.8560 0.3956 0.8734
O 0.3560 0.6044 0.6266
O 0.1440 0.6044 0.1266
O 0.6440 0.3956 0.3734
O 0.9613 0.1553 0.8638
O 0.4613 0.8447 0.6362
O 0.0387 0.8447 0.1362
O 0.5387 0.1553 0.3638
O 0.9829 0.0664 0.6356
O 0.4829 0.9336 0.8644
O 0.0171 0.9336 0.3644
O 0.5171 0.0664 0.1356
O 0.9286 0.3218 0.6507
O 0.4286 0.6782 0.8493
O 0.0714 0.6782 0.3493
O 0.5714 0.3218 0.1507
O 0.8264 0.5550 0.6516
O 0.3264 0.4450 0.8484
O 0.1736 0.4450 0.3484
O 0.6736 0.5550 0.1516
O 0.7553 0.8063 0.5832
O 0.2553 0.1937 0.9168
O 0.2447 0.1937 0.4168
O 0.7447 0.8063 0.0832
CELL_PARAMETERS angstrom
-11.7043 -2.7161 0.2112
1.1154 -5.3409 -6.8740
1.9059 -7.8153 5.1168
! * symmetry: No. 14
! * mass density: 2.33 g/cm3
! * energy of formation: -2.5333 eV/atom
! * size of the total moment: 0.0 μB/f.u.
! * raw total energy: -656.327 eV/cell

***

# 2
! PBE-GGA NaBH8O6, optimized geometry; values from VASP
&SYSTEM
  ibrav = 0, nat = 32, ntyp = 4
/
ATOMIC_SPECIES
Na 22.99 Na.upf
B 10.81 B.upf
H 1.01 H.upf
O 16.00 O.upf
ATOMIC_POSITIONS crystal
Na 0.3594 0.7892 0.1452
Na 0.6406 0.2108 0.8548
B 0.7426 0.7820 0.3681
B 0.2574 0.2180 0.6319
H 0.1135 0.2922 0.0888
H 0.8865 0.7078 0.9112
H 0.4334 0.3077 0.2942
H 0.5666 0.6923 0.7058
H 0.0818 0.2880 0.4605
H 0.9182 0.7120 0.5395
H 0.2196 0.9316 0.8371
H 0.7804 0.0684 0.1629
H 0.1389 0.2230 0.9282
H 0.8611 0.7770 0.0718
H 0.9295 0.3824 0.2819
H 0.0705 0.6176 0.7181
H 0.3786 0.9054 0.4332
H 0.6214 0.0946 0.5668
H 0.1763 0.6372 0.7307
H 0.8237 0.3628 0.2693
O 0.9356 0.7797 0.2452
O 0.0644 0.2203 0.7548
O 0.2492 0.2376 0.4704
O 0.7508 0.7624 0.5296
O 0.6692 0.1994 0.1023
O 0.3308 0.8006 0.8977
O 0.5063 0.8149 0.3560
O 0.4937 0.1851 0.6440
O 0.2255 0.1920 0.0137
O 0.7745 0.8080 0.9863
O 0.5479 0.3710 0.2026
O 0.4521 0.6290 0.7974
CELL_PARAMETERS angstrom
-5.2116 3.2177 -0.1409
-5.3711 -3.6669 -1.1037
-4.2851 -0.8756 7.9254
! * symmetry: No. 2
! * mass density: 1.48 g/cm3
! * energy of formation: -1.2916 eV/atom
! * size of the total moment: 0.0 μB/f.u.
! * raw total energy: -162.749 eV/cell

***

# 3
! PBE-GGA Na2B4H20O17, optimized geometry; values from VASP
&SYSTEM
  ibrav = 0, nat = 86, ntyp = 4
/
ATOMIC_SPECIES
Na 22.99 Na.upf
B 10.81 B.upf
H 1.01 H.upf
O 16.00 O.upf
ATOMIC_POSITIONS crystal
Na 0.0000 0.0000 0.5000
Na 0.0000 0.0000 0.0000
Na 0.8470 0.1530 0.7500
Na 0.1530 0.8470 0.2500
B 0.2595 0.5695 0.7150
B 0.4305 0.7405 0.7850
B 0.7405 0.4305 0.2850
B 0.5695 0.2595 0.2150
B 0.3585 0.4450 0.8920
B 0.5550 0.6415 0.6080
B 0.6415 0.5550 0.1080
B 0.4450 0.3585 0.3920
H 0.4989 0.9806 0.7799
H 0.0194 0.5011 0.7201
H 0.5011 0.0194 0.2201
H 0.9806 0.4989 0.2799
H 0.3465 0.4289 0.5384
H 0.5711 0.6535 0.9616
H 0.6535 0.5711 0.4616
H 0.4289 0.3465 0.0384
H 0.0872 0.3141 0.5366
H 0.6859 0.9128 0.9634
H 0.9128 0.6859 0.4634
H 0.3141 0.0872 0.0366
H 0.3454 0.9223 0.9865
H 0.0777 0.6546 0.5135
H 0.6546 0.0777 0.0135
H 0.9223 0.3454 0.4865
H 0.1772 0.2273 0.8066
H 0.7727 0.8228 0.6934
H 0.8228 0.7727 0.1934
H 0.2273 0.1772 0.3066
H 0.9647 0.7803 0.7020
H 0.2197 0.0353 0.7980
H 0.0353 0.2197 0.2980
H 0.7803 0.9647 0.2020
H 0.2796 0.8872 0.6168
H 0.1128 0.7204 0.8832
H 0.7204 0.1128 0.3832
H 0.8872 0.2796 0.1168
H 0.3231 0.0662 0.5363
H 0.9338 0.6769 0.9637
H 0.6769 0.9338 0.4637
H 0.0662 0.3231 0.0363
H 0.7157 0.4830 0.8362
H 0.5170 0.2843 0.6638
H 0.2843 0.5170 0.1638
H 0.4830 0.7157 0.3362
H 0.6213 0.1481 0.5959
H 0.8519 0.3787 0.9041
H 0.3787 0.8519 0.4041
H 0.1481 0.6213 0.0959
O 0.2666 0.7334 0.7500
O 0.7334 0.2666 0.2500
O 0.2646 0.4253 0.8147
O 0.5747 0.7354 0.6853
O 0.7354 0.5747 0.1853
O 0.4253 0.2646 0.3147
O 0.4155 0.5449 0.6239
O 0.4551 0.5845 0.8761
O 0.5845 0.4551 0.3761
O 0.5449 0.4155 0.1239
O 0.1092 0.5686 0.6671
O 0.4314 0.8908 0.8329
O 0.8908 0.4314 0.3329
O 0.5686 0.1092 0.1671
O 0.3535 0.3205 0.9900
O 0.6795 0.6465 0.5100
O 0.6465 0.6795 0.0100
O 0.3205 0.3535 0.4900
O 0.7228 0.0303 0.9486
O 0.9697 0.2772 0.5514
O 0.2772 0.9697 0.0514
O 0.0303 0.7228 0.4486
O 0.8773 0.8764 0.6957
O 0.1236 0.1227 0.8043
O 0.1227 0.1236 0.3043
O 0.8764 0.8773 0.1957
O 0.0462 0.7157 0.9623
O 0.2843 0.9538 0.5377
O 0.9538 0.2843 0.0377
O 0.7157 0.0462 0.4623
O 0.5883 0.1764 0.6724
O 0.8236 0.4117 0.8276
O 0.4117 0.8236 0.3276
O 0.1764 0.5883 0.1724
CELL_PARAMETERS angstrom
5.3457 5.9674 0.0000
-5.3457 5.9674 0.0000
0.0000 3.5066 11.7357
! * symmetry: No. 15
! * mass density: 1.69 g/cm3
! * energy of formation: -1.7077 eV/atom
! * size of the total moment: 0.0 μB/f.u.
! * raw total energy: -486.170 eV/cell

***

# 4
! PBE-GGA Na2B5H3O10, optimized geometry; values from VASP
&SYSTEM
  ibrav = 0, nat = 160, ntyp = 4
/
ATOMIC_SPECIES
Na 22.99 Na.upf
B 10.81 B.upf
H 1.01 H.upf
O 16.00 O.upf
ATOMIC_POSITIONS crystal
Na 0.0044 0.0603 0.2746
Na 0.5044 0.9397 0.2254
Na 0.9956 0.9397 0.7254
Na 0.4956 0.0603 0.7746
Na 0.6108 0.4382 0.2352
Na 0.1108 0.5618 0.2648
Na 0.3892 0.5618 0.7648
Na 0.8892 0.4382 0.7352
Na 0.0496 0.1546 0.4576
Na 0.5496 0.8454 0.0424
Na 0.9504 0.8454 0.5424
Na 0.4504 0.1546 0.9576
Na 0.3499 0.4707 0.4040
Na 0.8499 0.5293 0.0960
Na 0.6501 0.5293 0.5960
Na 0.1501 0.4707 0.9040
B 0.2876 0.2585 0.3365
B 0.7876 0.7415 0.1635
B 0.7124 0.7415 0.6635
B 0.2124 0.2585 0.8365
B 0.6418 0.2026 0.3308
B 0.1418 0.7974 0.1692
B 0.3582 0.7974 0.6692
B 0.8582 0.2026 0.8308
B 0.3877 0.0423 0.3550
B 0.8877 0.9577 0.1450
B 0.6123 0.9577 0.6450
B 0.1123 0.0423 0.8550
B 0.3337 0.8900 0.4462
B 0.8337 0.1100 0.0538
B 0.6663 0.1100 0.5538
B 0.1663 0.8900 0.9462
B 0.2155 0.8395 0.3389
B 0.7155 0.1605 0.1611
B 0.7845 0.1605 0.6611
B 0.2845 0.8395 0.8389
B 0.5026 0.7038 0.3152
B 0.0026 0.2962 0.1848
B 0.4974 0.2962 0.6848
B 0.9974 0.7038 0.8152
B 0.8540 0.7613 0.3268
B 0.3540 0.2387 0.1732
B 0.1460 0.2387 0.6732
B 0.6460 0.7613 0.8268
B 0.7553 0.5488 0.3541
B 0.2553 0.4512 0.1459
B 0.2447 0.4512 0.6459
B 0.7447 0.5488 0.8541
B 0.8141 0.4224 0.4544
B 0.3141 0.5776 0.0456
B 0.1859 0.5776 0.5456
B 0.6859 0.4224 0.9544
B 0.9301 0.3466 0.3508
B 0.4301 0.6534 0.1492
B 0.0699 0.6534 0.6492
B 0.5699 0.3466 0.8508
H 0.3133 0.3616 0.5198
H 0.8133 0.6384 0.9802
H 0.6867 0.6384 0.4802
H 0.1867 0.3616 0.0198
H 0.4622 0.2701 0.4903
H 0.9622 0.7299 0.0097
H 0.5379 0.7299 0.5097
H 0.0378 0.2701 0.9903
H 0.7316 0.9735 0.4314
H 0.2316 0.0265 0.0686
H 0.2684 0.0265 0.5686
H 0.7684 0.9735 0.9314
H 0.9209 0.9300 0.3978
H 0.4209 0.0700 0.1022
H 0.0791 0.0700 0.6022
H 0.5791 0.9300 0.8978
H 0.4432 0.9059 0.5336
H 0.9432 0.0941 0.9664
H 0.5568 0.0941 0.4664
H 0.0568 0.9059 0.0336
H 0.8236 0.3314 0.5421
H 0.3236 0.6686 0.9579
H 0.1764 0.6686 0.4579
H 0.6764 0.3314 0.0421
O 0.1506 0.3495 0.3320
O 0.6506 0.6505 0.1680
O 0.8494 0.6505 0.6680
O 0.3494 0.3495 0.8320
O 0.4898 0.2910 0.3250
O 0.9898 0.7090 0.1750
O 0.5102 0.7090 0.6750
O 0.0102 0.2910 0.8250
O 0.8400 0.2332 0.3327
O 0.3400 0.7668 0.1673
O 0.1600 0.7668 0.6673
O 0.6600 0.2332 0.8327
O 0.2392 0.1433 0.3545
O 0.7392 0.8567 0.1455
O 0.7608 0.8567 0.6455
O 0.2608 0.1433 0.8545
O 0.5883 0.0848 0.3337
O 0.0883 0.9152 0.1663
O 0.4117 0.9152 0.6663
O 0.9117 0.0848 0.8337
O 0.3089 0.9515 0.3171
O 0.8089 0.0485 0.1829
O 0.6911 0.0485 0.6829
O 0.1911 0.9515 0.8171
O 0.4118 0.9985 0.4244
O 0.9118 0.0015 0.0756
O 0.5882 0.0015 0.5756
O 0.0882 0.9985 0.9244
O 0.2337 0.8150 0.4095
O 0.7337 0.1850 0.0905
O 0.7663 0.1850 0.5905
O 0.2663 0.8150 0.9095
O 0.3563 0.8519 0.5100
O 0.8563 0.1481 0.9900
O 0.6437 0.1481 0.4900
O 0.1437 0.8519 0.0100
O 0.9944 0.8508 0.3231
O 0.4944 0.1492 0.1769
O 0.0056 0.1492 0.6769
O 0.5056 0.8508 0.8231
O 0.3042 0.7357 0.3092
O 0.8042 0.2643 0.1908
O 0.6958 0.2643 0.6908
O 0.1958 0.7357 0.8092
O 0.6545 0.7910 0.3095
O 0.1545 0.2090 0.1905
O 0.3455 0.2090 0.6905
O 0.8455 0.7910 0.8095
O 0.5526 0.5856 0.3268
O 0.0526 0.4144 0.1732
O 0.4474 0.4144 0.6732
O 0.9474 0.5856 0.8268
O 0.9016 0.6478 0.3469
O 0.4016 0.3522 0.1531
O 0.0984 0.3522 0.6531
O 0.5984 0.6478 0.8469
O 0.8341 0.4509 0.3206
O 0.3341 0.5491 0.1794
O 0.1659 0.5491 0.6794
O 0.6659 0.4509 0.8206
O 0.7191 0.5193 0.4237
O 0.2191 0.4807 0.0763
O 0.2809 0.4807 0.5763
O 0.7809 0.5193 0.9237
O 0.7893 0.4090 0.5201
O 0.2893 0.5910 0.9799
O 0.2107 0.5910 0.4799
O 0.7107 0.4090 0.0201
O 0.9257 0.3451 0.4218
O 0.4257 0.6549 0.0782
O 0.0743 0.6549 0.5782
O 0.5743 0.3451 0.9218
O 0.3333 0.3128 0.4829
O 0.8333 0.6872 0.0171
O 0.6667 0.6872 0.5171
O 0.1667 0.3128 0.9829
O 0.8760 0.9601 0.4384
O 0.3760 0.0399 0.0616
O 0.1240 0.0399 0.5616
O 0.6240 0.9601 0.9384
CELL_PARAMETERS angstrom
6.6252 0.0000 0.0000
0.0000 11.2794 0.0000
0.0000 1.3835 21.0310
! * symmetry: No. 14
! * mass density: 2.22 g/cm3
! * energy of formation: -2.4349 eV/atom
! * size of the total moment: 0.0 μB/f.u.
! * raw total energy: -1100.217 eV/cell

***

# 5
! PBE-GGA Na2BHO3, optimized geometry; values from VASP
&SYSTEM
  ibrav = 0, nat = 28, ntyp = 4
/
ATOMIC_SPECIES
Na 22.99 Na.upf
B 10.81 B.upf
H 1.01 H.upf
O 16.00 O.upf
ATOMIC_POSITIONS crystal
Na 0.2500 0.0721 0.3965
Na 0.7500 0.9279 0.6035
Na 0.7500 0.3275 0.5533
Na 0.7500 0.4279 0.8965
Na 0.7500 0.8275 0.9467
Na 0.2500 0.1725 0.0533
Na 0.2500 0.6725 0.4467
Na 0.2500 0.5721 0.1035
B 0.2500 0.1374 0.7588
B 0.2500 0.6374 0.7412
B 0.7500 0.8626 0.2412
B 0.7500 0.3626 0.2588
H 0.2500 0.9031 0.7713
H 0.2500 0.4031 0.7287
H 0.7500 0.5969 0.2713
H 0.7500 0.0969 0.2287
O 0.7500 0.0038 0.1630
O 0.2500 0.1285 0.6218
O 0.2500 0.9962 0.8370
O 0.7500 0.8715 0.3782
O 0.2500 0.2709 0.8316
O 0.2500 0.4962 0.6630
O 0.7500 0.7291 0.1684
O 0.2500 0.6285 0.8782
O 0.7500 0.2291 0.3316
O 0.7500 0.3715 0.1218
O 0.7500 0.5038 0.3370
O 0.2500 0.7709 0.6684
CELL_PARAMETERS angstrom
3.5437 0.0000 0.0000
0.0000 8.6848 0.0000
0.0000 0.0000 9.9554
! * symmetry: No. 62
! * mass density: 2.29 g/cm3
! * energy of formation: -2.1894 eV/atom
! * size of the total moment: 0.0 μB/f.u.
! * raw total energy: -163.303 eV/cell